[1]
Compound: NdTaO3
Source: the Materials Project database
Functional: PBE
Structure: relaxed

Cell: 4.0531 4.0531 4.0531 Å, 90.00 90.00 90.00°
Last column: nearest neighbours and their distance in Å.
Sites, in units of the cell vectors:
Nd: 0.0000 0.0000 0.0000  12 O 2.87
Ta: 0.5000 0.5000 0.5000  6 O 2.03
O: 0.5000 0.5000 0.0000  2 Ta 2.03
O: 0.0000 0.5000 0.5000  2 Ta 2.03
O: 0.5000 0.0000 0.5000  2 Ta 2.03

Calculated formation energy ... -14.88 eV/f.u.
Total magnetic moment ... 0.002 μB/f.u.
Calculated density ... 9.307 g/cm3

[2]
Compound: NdTaTiO6
Source: the Materials Project database
Functional: PBE
Structure: relaxed

Cell: 5.3873 7.5513 11.1115 Å, 90.00 90.00 90.00°
Last column: nearest neighbours and their distance in Å.
Sites, in units of the cell vectors:
O: 0.9525 0.2489 0.1432  1 Ti 1.99, 1 Ta 2.00
O: 0.5475 0.2489 0.6432  1 Ti 1.99, 1 Ta 2.00
O: 0.2650 0.0383 0.4731  1 Ta 1.97, 1 Ti 2.20
O: 0.6298 0.5599 0.7897  1 Ta 1.90, 1 Ti 2.02
O: 0.4525 0.7489 0.3568  1 Ti 1.99, 1 Ta 2.00
O: 0.3405 0.7522 0.6218  1 Ti 1.95, 1 Ta 1.98
O: 0.7650 0.5383 0.0269  1 Ta 1.97, 1 Ti 2.20
O: 0.1251 0.4408 0.7125  1 Ti 1.87, 1 Ta 2.03
O: 0.8702 0.5599 0.2897  1 Ta 1.90, 1 Ti 2.02
O: 0.3702 0.0599 0.2103  1 Ta 1.90, 1 Ti 2.02
O: 0.2693 0.4623 0.4746  1 Ti 1.95, 1 Ta 2.17
O: 0.1595 0.7522 0.1218  1 Ti 1.95, 1 Ta 1.98
O: 0.2350 0.0383 0.9731  1 Ta 1.97, 1 Ti 2.20
O: 0.2307 0.4623 0.9746  1 Ti 1.95, 1 Ta 2.17
O: 0.7350 0.5383 0.5269  1 Ta 1.97, 1 Ti 2.20
O: 0.0475 0.7489 0.8568  1 Ti 1.99, 1 Ta 2.00
O: 0.1298 0.0599 0.7103  1 Ta 1.90, 1 Ti 2.02
O: 0.8749 0.9408 0.2875  1 Ti 1.87, 1 Ta 2.03
O: 0.8405 0.2522 0.8782  1 Ti 1.95, 1 Ta 1.98
O: 0.6595 0.2522 0.3782  1 Ti 1.95, 1 Ta 1.98
O: 0.3749 0.4408 0.2125  1 Ti 1.87, 1 Ta 2.03
O: 0.7307 0.9623 0.5254  1 Ti 1.95, 1 Ta 2.17
O: 0.6251 0.9408 0.7875  1 Ti 1.87, 1 Ta 2.03
O: 0.7693 0.9623 0.0254  1 Ti 1.95, 1 Ta 2.17
Nd: 0.5442 0.2486 0.0443  8 O 2.43-2.54
Nd: 0.0442 0.7486 0.4557  8 O 2.43-2.54
Nd: 0.9558 0.2486 0.5443  8 O 2.43-2.54
Nd: 0.4558 0.7486 0.9557  8 O 2.43-2.54
Ta: 0.5382 0.0063 0.3566  5 O 1.90-2.03
Ta: 0.4618 0.5063 0.6434  5 O 1.90-2.03
Ta: 0.9618 0.0063 0.8566  5 O 1.90-2.03
Ta: 0.0382 0.5063 0.1434  5 O 1.90-2.03
Ti: 0.5355 0.4927 0.3571  5 O 1.87-2.02
Ti: 0.4645 0.9927 0.6429  5 O 1.87-2.02
Ti: 0.9645 0.4927 0.8571  5 O 1.87-2.02
Ti: 0.0355 0.9927 0.1429  5 O 1.87-2.02

Calculated formation energy ... -32.65 eV/f.u.
Total magnetic moment ... 0.000 μB/f.u.
Calculated density ... 6.892 g/cm3

[3]
Compound: Nd2Te4O11
Source: the Materials Project database
Functional: PBE
Structure: relaxed

Cell: 6.9139 6.9139 16.6626 Å, 76.54 76.54 45.11°
Last column: nearest neighbours and their distance in Å.
Sites, in units of the cell vectors:
Te: 0.8404 0.3962 0.8011  3 O 1.86-2.03
Te: 0.1484 0.5858 0.8748  3 O 1.90-1.92
Te: 0.4142 0.8516 0.6252  3 O 1.90-1.92
Te: 0.1596 0.6038 0.1989  3 O 1.86-2.03
Te: 0.8516 0.4142 0.1252  3 O 1.90-1.92
Te: 0.3962 0.8404 0.3011  3 O 1.86-2.03
Te: 0.6038 0.1596 0.6989  3 O 1.86-2.03
Te: 0.5858 0.1484 0.3748  3 O 1.90-1.92
O: 0.8118 0.0448 0.4534  1 Te 1.90
O: 0.1962 0.0983 0.8305  1 Te 1.86
O: 0.6103 0.4379 0.9002  1 Te 1.92
O: 0.0983 0.1962 0.3305  1 Te 1.86
O: 0.3897 0.5621 0.0998  1 Te 1.92
O: 0.1500 0.8500 0.2500  2 Te 2.03
O: 0.2523 0.3312 0.4455  1 Te 1.90
O: 0.8131 0.6799 0.8732  1 Te 1.92
O: 0.0448 0.8118 0.9534  1 Te 1.90
O: 0.9017 0.8038 0.6695  1 Te 1.86
O: 0.8038 0.9017 0.1695  1 Te 1.86
O: 0.8500 0.1500 0.7500  2 Te 2.03
O: 0.6799 0.8131 0.3732  1 Te 1.92
O: 0.1869 0.3201 0.1268  1 Te 1.92
O: 0.5621 0.3897 0.5998  1 Te 1.92
O: 0.6688 0.7477 0.0545  1 Te 1.90
O: 0.3312 0.2523 0.9455  1 Te 1.90
O: 0.1882 0.9552 0.5466  1 Te 1.90
O: 0.9552 0.1882 0.0466  1 Te 1.90
O: 0.3201 0.1869 0.6268  1 Te 1.92
O: 0.4379 0.6103 0.4002  1 Te 1.92
O: 0.7477 0.6688 0.5545  1 Te 1.90
Nd: 0.8667 0.3695 0.4621  7 O 2.38-2.57
Nd: 0.6305 0.1333 0.0379  7 O 2.38-2.57
Nd: 0.3695 0.8667 0.9621  7 O 2.38-2.57
Nd: 0.1333 0.6305 0.5379  7 O 2.38-2.57

Calculated formation energy ... -38.67 eV/f.u.
Calculated density ... 5.929 g/cm3

[4]
Compound: Nd2Th8O19
Source: the Materials Project database
Functional: PBE
Structure: relaxed

Cell: 3.9754 3.9754 28.1666 Å, 90.00 90.00 90.00°
Last column: nearest neighbours and their distance in Å.
Sites, in units of the cell vectors:
O: 0.0000 0.0000 0.1052  2 Th 2.36, 2 Nd 2.42
O: 0.5000 0.5000 0.2996  4 Th 2.43-2.44
O: 0.0000 0.0000 0.2025  4 Th 2.39-2.47
O: 0.5000 0.5000 0.0955  2 Nd 2.28, 2 Th 2.52
O: 0.5000 0.5000 0.6003  4 Th 2.44
O: 0.5000 0.5000 0.5000  4 Th 2.44
O: 0.0000 0.0000 0.7000  4 Th 2.43-2.44
O: 0.5000 0.5000 0.8016  4 Th 2.41-2.46
O: 0.0000 0.0000 0.6004  4 Th 2.43-2.44
O: 0.0000 0.0000 0.3996  4 Th 2.43-2.44
O: 0.5000 0.5000 0.1984  4 Th 2.41-2.46
O: 0.5000 0.5000 0.3997  4 Th 2.44
O: 0.0000 0.0000 0.5000  4 Th 2.44
O: 0.5000 0.5000 0.7004  4 Th 2.43-2.44
O: 0.0000 0.0000 0.7975  4 Th 2.39-2.47
O: 0.0000 0.0000 0.8948  2 Th 2.36, 2 Nd 2.42
O: 0.5000 0.5000 0.9045  2 Nd 2.28, 2 Th 2.52
O: 0.0000 0.0000 0.0000  4 Nd 2.54
O: 0.0000 0.0000 0.3000  4 Th 2.43-2.44
Th: 0.5000 0.0000 0.3497  8 O 2.43-2.44
Th: 0.5000 0.0000 0.7501  8 O 2.39-2.46
Th: 0.5000 0.0000 0.1503  8 O 2.36-2.52
Th: 0.0000 0.5000 0.4496  8 O 2.44
Th: 0.0000 0.5000 0.6503  8 O 2.43-2.44
Th: 0.0000 0.5000 0.8497  8 O 2.36-2.52
Th: 0.0000 0.5000 0.2499  8 O 2.39-2.46
Th: 0.5000 0.0000 0.5504  8 O 2.44
Nd: 0.0000 0.5000 0.0561  6 O 2.28-2.54
Nd: 0.5000 0.0000 0.9439  6 O 2.28-2.54

Calculated formation energy ... -122.99 eV/f.u.
Total magnetic moment ... 0.000 μB/f.u.
Calculated density ... 9.135 g/cm3

[5]
Compound: NdTh9O20
Source: the Materials Project database
Functional: PBE
Structure: relaxed

Cell: 6.8812 7.9500 8.8976 Å, 102.86 97.51 106.66°
Last column: nearest neighbours and their distance in Å.
Sites, in units of the cell vectors:
Th: 0.1993 0.8986 0.3984  8 O 2.41-2.45
Th: 0.3979 0.7988 0.8006  8 O 2.40-2.44
Th: 0.5996 0.6987 0.1987  8 O 2.41-2.45
Th: 0.6021 0.2012 0.1994  8 O 2.40-2.44
Th: 0.0000 0.0000 0.0000  8 O 2.42-2.44
Th: 0.4004 0.3013 0.8013  8 O 2.41-2.45
Th: 0.8003 0.5998 0.6018  8 O 2.41-2.44
Th: 0.1997 0.4002 0.3982  8 O 2.41-2.44
Th: 0.8007 0.1014 0.6016  8 O 2.41-2.45
O: 0.7487 0.8745 0.7501  4 Th 2.43-2.44
O: 0.5504 0.9757 0.3499  4 Th 2.44-2.45
O: 0.2513 0.1255 0.2499  4 Th 2.43-2.44
O: 0.5506 0.4746 0.3505  4 Th 2.43-2.44
O: 0.7458 0.3729 0.7458  3 Th 2.41-2.42, 1 Nd 2.48
O: 0.1499 0.1752 0.5493  4 Th 2.44-2.45
O: 0.0508 0.2201 0.8473  3 Th 2.41-2.42, 1 Nd 2.48
O: 0.1495 0.6744 0.5498  4 Th 2.44
O: 0.4496 0.0243 0.6501  4 Th 2.44-2.45
O: 0.3509 0.0748 0.9506  4 Th 2.43-2.44
O: 0.8505 0.3256 0.4502  4 Th 2.44
O: 0.8501 0.8248 0.4507  4 Th 2.44-2.45
O: 0.2542 0.6271 0.2542  3 Th 2.41-2.42, 1 Nd 2.48
O: 0.6491 0.9252 0.0494  4 Th 2.43-2.44
O: 0.4494 0.5254 0.6495  4 Th 2.43-2.44
O: 0.0509 0.7289 0.8473  3 Th 2.40-2.42, 1 Nd 2.48
O: 0.9492 0.7799 0.1527  3 Th 2.41-2.42, 1 Nd 2.48
O: 0.6443 0.4234 0.0512  3 Th 2.41-2.42, 1 Nd 2.48
O: 0.3557 0.5766 0.9488  3 Th 2.41-2.42, 1 Nd 2.48
O: 0.9491 0.2711 0.1527  3 Th 2.40-2.42, 1 Nd 2.48
Nd: 0.0000 0.5000 0.0000  8 O 2.48

Calculated formation energy ... -127.16 eV/f.u.
Calculated density ... 9.533 g/cm3

[6]
Compound: Nd2Ti4O11
Source: the Materials Project database
Functional: PBE
Structure: relaxed

Cell: 7.3174 7.3174 12.8432 Å, 72.35 72.35 41.02°
Last column: nearest neighbours and their distance in Å.
Sites, in units of the cell vectors:
O: 0.6570 0.3430 0.2500  4 Ti 2.07-2.15
O: 0.7125 0.4230 0.4430  2 Ti 1.90-1.94
O: 0.1013 0.8129 0.1679  2 Ti 1.93-2.03
O: 0.4159 0.8649 0.5610  2 Ti 1.94-1.99
O: 0.0707 0.6095 0.4024  2 Ti 1.86-2.08
O: 0.6197 0.9473 0.2765  1 Ti 1.77
O: 0.4230 0.7125 0.9430  2 Ti 1.90-1.94
O: 0.8987 0.1870 0.8321  2 Ti 1.93-2.03
O: 0.3905 0.9293 0.0976  2 Ti 1.86-2.08
O: 0.9293 0.3905 0.5976  2 Ti 1.86-2.08
O: 0.8129 0.1013 0.6679  2 Ti 1.93-2.03
O: 0.1870 0.8987 0.3321  2 Ti 1.93-2.03
O: 0.1351 0.5841 0.9390  2 Ti 1.94-1.99
O: 0.3803 0.0527 0.7235  1 Ti 1.77
O: 0.5770 0.2875 0.0570  2 Ti 1.90-1.94
O: 0.5841 0.1351 0.4390  2 Ti 1.94-1.99
O: 0.9473 0.6197 0.7765  1 Ti 1.77
O: 0.8649 0.4159 0.0610  2 Ti 1.94-1.99
O: 0.3430 0.6570 0.7500  4 Ti 2.07-2.15
O: 0.2875 0.5770 0.5570  2 Ti 1.90-1.94
O: 0.0527 0.3803 0.2235  1 Ti 1.77
O: 0.6095 0.0707 0.9024  2 Ti 1.86-2.08
Ti: 0.1606 0.0567 0.6892  3 O 1.77-1.94
Ti: 0.0567 0.1606 0.1892  3 O 1.77-1.94
Ti: 0.4162 0.5190 0.4031  5 O 1.90-2.08
Ti: 0.5190 0.4162 0.9031  5 O 1.90-2.08
Ti: 0.9433 0.8394 0.8108  3 O 1.77-1.94
Ti: 0.5838 0.4810 0.5969  5 O 1.90-2.08
Ti: 0.4810 0.5838 0.0969  5 O 1.90-2.08
Ti: 0.8394 0.9433 0.3108  3 O 1.77-1.94
Nd: 0.2009 0.1979 0.9057  7 O 2.36-2.64
Nd: 0.7991 0.8021 0.0943  7 O 2.36-2.64
Nd: 0.8021 0.7991 0.5943  7 O 2.36-2.64
Nd: 0.1979 0.2009 0.4057  7 O 2.36-2.64

Calculated formation energy ... -62.14 eV/f.u.
Calculated density ... 5.101 g/cm3

[7]
Compound: NdTiO3
Source: the Materials Project database
Functional: PBE
Structure: relaxed

Cell: 5.5056 5.7358 7.8549 Å, 90.00 90.00 90.00°
Last column: nearest neighbours and their distance in Å.
Sites, in units of the cell vectors:
Nd: 0.9848 0.0606 0.2500  6 O 2.37-2.60
Nd: 0.5152 0.5606 0.2500  6 O 2.37-2.60
Nd: 0.4848 0.4394 0.7500  6 O 2.37-2.60
Nd: 0.0152 0.9394 0.7500  6 O 2.37-2.60
O: 0.4057 0.9730 0.2500  2 Ti 2.04
O: 0.5943 0.0270 0.7500  2 Ti 2.04
O: 0.2010 0.2045 0.5480  2 Ti 2.06
O: 0.7990 0.7955 0.0480  2 Ti 2.06
O: 0.0943 0.4730 0.2500  2 Ti 2.04
O: 0.2990 0.7045 0.9520  2 Ti 2.06
O: 0.7010 0.2955 0.0480  2 Ti 2.06
O: 0.2990 0.7045 0.5480  2 Ti 2.06
O: 0.2010 0.2045 0.9520  2 Ti 2.06
O: 0.9057 0.5270 0.7500  2 Ti 2.04
O: 0.7010 0.2955 0.4520  2 Ti 2.06
O: 0.7990 0.7955 0.4520  2 Ti 2.06
Ti: 0.0000 0.5000 0.5000  6 O 2.04-2.06
Ti: 0.5000 0.0000 0.0000  6 O 2.04-2.06
Ti: 0.5000 0.0000 0.5000  6 O 2.04-2.06
Ti: 0.0000 0.5000 0.0000  6 O 2.04-2.06

Calculated formation energy ... -17.83 eV/f.u.
Total magnetic moment ... 1.000 μB/f.u.
Calculated density ... 6.430 g/cm3

[8]
Compound: Nd9Ti10O30
Source: the Materials Project database
Functional: PBE
Structure: relaxed

Cell: 7.8728 9.5820 17.5773 Å, 89.71 91.09 113.76°
Last column: nearest neighbours and their distance in Å.
Sites, in units of the cell vectors:
Ti: 0.7020 0.9027 0.5988  6 O 1.96-2.06
Ti: 0.9947 0.4975 0.0001  6 O 1.97-2.06
Ti: 0.1001 0.6994 0.7995  6 O 2.00-2.03
Ti: 0.0052 0.4965 0.5012  6 O 1.94-2.08
Ti: 0.3978 0.2973 0.6971  6 O 1.93-2.08
Ti: 0.6992 0.9065 0.1008  6 O 1.93-2.07
Ti: 0.5997 0.7001 0.3004  6 O 2.00-2.02
Ti: 0.0993 0.6998 0.2999  6 O 2.01-2.03
Ti: 0.5019 0.4951 0.0022  6 O 1.94-2.08
Ti: 0.3045 0.0990 0.9037  6 O 1.94-2.09
Ti: 0.4036 0.2981 0.1969  6 O 1.96-2.07
Ti: 0.5998 0.6992 0.7997  6 O 2.00-2.03
Ti: 0.4918 0.4928 0.5011  6 O 1.97-2.06
Ti: 0.9011 0.3006 0.6974  6 O 1.96-2.05
Ti: 0.7958 0.0998 0.9006  6 O 1.97-2.07
Ti: 0.8071 0.1000 0.4027  6 O 1.94-2.07
Ti: 0.2081 0.9068 0.0990  6 O 1.96-2.07
Ti: 0.2968 0.1019 0.4032  6 O 1.97-2.07
Ti: 0.2030 0.9079 0.5990  6 O 1.93-2.06
Ti: 0.8935 0.2969 0.1984  6 O 1.93-2.08
O: 0.9811 0.5203 0.7303  2 Ti 2.00-2.02
O: 0.2002 0.0223 0.0052  2 Ti 1.99
O: 0.0598 0.7127 0.0370  2 Ti 2.02-2.06
O: 0.0245 0.6381 0.4088  2 Ti 2.03-2.08
O: 0.3263 0.0852 0.1651  2 Ti 1.96
O: 0.4753 0.9501 0.5927  2 Ti 2.01-2.02
O: 0.4507 0.5116 0.2402  2 Ti 2.00-2.07
O: 0.7474 0.8868 0.3616  2 Ti 2.00-2.04
O: 0.5904 0.7618 0.6902  2 Ti 2.02-2.06
O: 0.6193 0.6799 0.0715  2 Ti 2.03-2.07
O: 0.2703 0.1077 0.6430  2 Ti 1.93
O: 0.6408 0.2812 0.6754  2 Ti 2.01-2.02
O: 0.1606 0.3183 0.7244  2 Ti 2.02-2.03
O: 0.8116 0.0780 0.6717  2 Ti 2.00-2.01
O: 0.1468 0.6901 0.5625  2 Ti 2.04-2.05
O: 0.0389 0.0800 0.8719  2 Ti 2.07-2.09
O: 0.5756 0.5677 0.3923  2 Ti 2.01-2.06
O: 0.7914 0.1145 0.1366  2 Ti 1.93
O: 0.4086 0.2336 0.3083  2 Ti 2.05-2.07
O: 0.6239 0.8338 0.2092  2 Ti 2.01-2.04
O: 0.5499 0.4860 0.7641  2 Ti 2.02-2.08
O: 0.2502 0.5010 0.4722  2 Ti 1.99
O: 0.8298 0.2378 0.8080  2 Ti 2.04-2.05
O: 0.6552 0.9110 0.8360  2 Ti 2.00-2.04
O: 0.8766 0.7534 0.7915  2 Ti 2.03
O: 0.9504 0.2891 0.9601  2 Ti 2.01
O: 0.7884 0.0228 0.5061  2 Ti 1.94-1.96
O: 0.0720 0.1435 0.3833  2 Ti 1.99
O: 0.5562 0.1123 0.9173  2 Ti 1.94-1.97
O: 0.2087 0.8317 0.7086  2 Ti 2.01-2.06
O: 0.2214 0.8777 0.8701  2 Ti 2.01-2.04
O: 0.4359 0.2850 0.4645  2 Ti 1.97
O: 0.2755 0.5538 0.9903  2 Ti 2.06-2.08
O: 0.9656 0.3767 0.5936  2 Ti 1.94-1.96
O: 0.0205 0.4779 0.2736  2 Ti 2.01-2.08
O: 0.7319 0.4657 0.0051  2 Ti 1.94-1.97
O: 0.8608 0.3132 0.4371  2 Ti 2.00-2.01
O: 0.3251 0.6468 0.8061  2 Ti 2.02-2.03
O: 0.9561 0.9100 0.1250  2 Ti 2.05-2.06
O: 0.3742 0.3193 0.9311  2 Ti 2.00-2.01
O: 0.3614 0.7215 0.3250  2 Ti 2.02-2.03
O: 0.5796 0.7173 0.5312  2 Ti 2.02-2.05
O: 0.3789 0.3782 0.0942  2 Ti 1.99-2.00
O: 0.7617 0.5215 0.5237  2 Ti 2.06-2.07
O: 0.6044 0.6364 0.9092  2 Ti 2.02-2.08
O: 0.1270 0.2532 0.2103  2 Ti 2.05-2.06
O: 0.1994 0.9569 0.4885  2 Ti 1.98-2.00
O: 0.5262 0.0502 0.4055  2 Ti 2.06-2.07
O: 0.9261 0.8493 0.6085  2 Ti 2.03
O: 0.3722 0.1678 0.7930  2 Ti 2.05-2.06
O: 0.4339 0.8693 0.0775  2 Ti 1.99-2.01
O: 0.1701 0.7623 0.1913  2 Ti 2.02-2.07
O: 0.6773 0.3589 0.1996  2 Ti 1.99-2.02
O: 0.7879 0.1649 0.2920  2 Ti 2.04-2.06
O: 0.4436 0.4434 0.6110  2 Ti 1.99
O: 0.1812 0.9208 0.3282  2 Ti 2.01-2.07
O: 0.9915 0.5647 0.8898  2 Ti 2.01-2.04
O: 0.8386 0.6806 0.2742  2 Ti 2.02-2.03
O: 0.7725 0.9634 0.9913  2 Ti 2.02-2.03
O: 0.0067 0.4352 0.1095  2 Ti 2.02
Nd: 0.4753 0.9932 0.2602  6 O 2.39-2.65
Nd: 0.3713 0.7935 0.4579  7 O 2.40-2.66
Nd: 0.0325 0.0119 0.7397  5 O 2.38-2.64
Nd: 0.1675 0.3918 0.8571  6 O 2.38-2.62
Nd: 0.8770 0.7911 0.4635  6 O 2.40-2.60
Nd: 0.5189 0.0140 0.7389  6 O 2.41-2.63
Nd: 0.3252 0.6102 0.1388  7 O 2.39-2.66
Nd: 0.9705 0.9960 0.2558  7 O 2.40-2.65
Nd: 0.0755 0.1886 0.0615  5 O 2.40-2.68
Nd: 0.9259 0.8104 0.9389  7 O 2.38-2.65
Nd: 0.2303 0.4020 0.3446  6 O 2.38-2.66
Nd: 0.7204 0.4099 0.3404  6 O 2.39-2.65
Nd: 0.6385 0.2081 0.5414  6 O 2.40-2.58
Nd: 0.6713 0.3820 0.8659  6 O 2.41-2.55
Nd: 0.7691 0.5909 0.6564  6 O 2.40-2.63
Nd: 0.8334 0.6066 0.1403  6 O 2.38-2.61
Nd: 0.2735 0.5844 0.6586  6 O 2.37-2.65
Nd: 0.4362 0.8114 0.9451  6 O 2.40-2.61

Calculated formation energy ... -176.99 eV/f.u.
Total magnetic moment ... 5.552 μB/f.u.
Calculated density ... 6.177 g/cm3